1.
MgFe2O2F2 after structural relaxation. Source: the Materials Project, functional PBE+U.

```
MgFe2O2F2
1.0
5.474 0.000 0.000
0.000 3.138 0.000
-0.249 0.000 5.527
Mg Fe O F
1 2 2 2
direct
0.000 0.000 0.000
0.465 0.000 0.245
0.981 0.500 0.488
0.241 0.500 0.179
0.811 0.000 0.308
0.173 0.000 0.683
0.821 0.500 0.847
```

Results
- SG: Pm (6)
- E above lowest polymorph: 0.33 eV per formula unit

=====

2.
Li5Fe2P2C2O14 after structural relaxation. Source: the Materials Project, functional PBE+U.

```
Li5Fe2P2C2O14
1.0
5.111 0.000 0.000
-0.458 6.441 0.000
-0.720 -0.768 8.405
Li Fe P C O
5 2 2 2 14
direct
0.000 0.000 0.000
0.059 0.693 0.650
0.549 0.901 0.493
0.623 0.425 0.515
0.887 0.454 0.989
0.077 0.190 0.405
0.456 0.697 0.092
0.540 0.201 0.168
0.982 0.687 0.330
0.581 0.710 0.795
0.996 0.201 0.695
0.002 0.505 0.443
0.089 0.626 0.171
0.150 0.878 0.427
0.227 0.232 0.644
0.337 0.697 0.820
0.374 0.010 0.085
0.430 0.258 0.334
0.540 0.385 0.065
0.660 0.696 0.652
0.692 0.740 0.311
0.758 0.733 0.918
0.801 0.159 0.577
0.837 0.150 0.203
0.952 0.210 0.839
```

Results
- SG: P1 (1)
- E above lowest polymorph: 0.01 eV per formula unit

=====

3.
ZnSiNiO5 after structural relaxation. Source: the Materials Project, functional PBE+U.

```
ZnSiNiO5
1.0
3.298 -4.103 0.000
3.298 4.103 0.000
-3.164 0.000 6.296
Zn Si Ni O
2 2 2 10
direct
0.168 0.832 0.750
0.832 0.168 0.250
0.181 0.819 0.250
0.819 0.181 0.750
0.500 0.500 0.000
0.500 0.500 0.500
0.145 0.224 0.904
0.188 0.609 0.381
0.224 0.145 0.404
0.391 0.812 0.119
0.412 0.588 0.750
0.588 0.412 0.250
0.609 0.188 0.881
0.776 0.855 0.596
0.812 0.391 0.619
0.855 0.776 0.096
```

Results
- SG: C2/c (15)

=====

4.
MnOF after structural relaxation. Source: the Materials Project, functional PBE+U.

```
MnOF
1.0
9.562 0.000 0.000
0.000 4.621 0.000
0.000 0.000 4.633
Mn O F
6 6 6
direct
0.000 0.224 0.000
0.167 0.722 0.564
0.333 0.278 0.064
0.500 0.776 0.500
0.667 0.278 0.064
0.833 0.722 0.564
0.000 0.909 0.737
0.171 0.427 0.858
0.329 0.573 0.358
0.500 0.091 0.237
0.671 0.573 0.358
0.829 0.427 0.858
0.000 0.502 0.328
0.160 0.023 0.254
0.340 0.977 0.754
0.500 0.498 0.828
0.660 0.977 0.754
0.840 0.023 0.254
```

Results
- SG: Pmn2_1 (31)

=====

The records above give, respectively, VASP energy values of -41.587, -168.772, -90.915, -121.340 eV per cell.
The records above give, respectively, ΔH_f (0 K) values of -2.3046, -2.3145, -1.7785, -2.3386 eV/atom.
The records above give, respectively, MP2020-corrected energy values of -6.91, -7.32, -6.43, -7.68 eV per atom.